This record from the Materials Project describes a relaxed structure of BaSn. The functional is meta-GGA r2SCAN.

```
BaSn
1.0
4.715 0.000 0.000
0.000 4.938 -2.100
0.000 0.021 6.905
Ba Sn
2 2
Cartesian
1.179 4.284 3.218
3.536 0.675 1.588
1.179 2.828 -0.206
3.536 2.131 5.011
```

As for the density: 5.28 g/cm³. The calculation puts the magnetic moment at 0.00 μB per formula unit. As for the final energy: -26.418 eV/atom. For the formation energy from the elements, the calculation gives -0.796 eV/atom.

This record from the Materials Project describes a relaxed structure of Sr3Ca. The functional is meta-GGA r2SCAN.

```
Sr3Ca
1.0
4.219 -7.308 0.000
4.219 7.308 0.000
0.000 0.000 6.891
Sr Ca
6 2
Cartesian
2.133 1.232 1.723
6.305 1.232 1.723
4.219 4.844 1.723
6.305 -1.232 5.168
2.133 -1.232 5.168
4.219 -4.844 5.168
4.219 2.436 5.168
4.219 -2.436 1.723
```

As for the density: 2.37 g/cm³. The calculation puts the magnetic moment at 0.06 μB per formula unit. As for the final energy: -13.113 eV/atom. For the formation energy from the elements, the calculation gives 0.006 eV/atom.

This record from the Materials Project describes a relaxed structure of Ce2Ni2Sn. The functional is meta-GGA r2SCAN.

```
Ce2Ni2Sn
1.0
-3.120 0.805 -2.954
-5.112 -0.934 1.911
-3.114 4.404 1.254
Ce Ni Sn
2 2 1
Cartesian
-8.254 3.072 -0.147
-3.092 1.202 0.359
-5.246 3.277 -0.034
-6.100 0.997 0.246
0.000 0.000 0.000
```

As for the density: 8.14 g/cm³. The calculation puts the magnetic moment at 1.95 μB per formula unit. As for the final energy: -22.584 eV/atom. For the formation energy from the elements, the calculation gives -0.506 eV/atom.

This record from the Materials Project describes a relaxed structure of UCrSe3. The functional is meta-GGA r2SCAN.

```
UCrSe3
1.0
0.000 -6.493 0.000
-7.454 0.000 0.000
0.000 0.000 -9.401
U Cr Se
4 4 12
Cartesian
-0.864 -3.587 -7.051
-4.591 -6.152 -7.051
-6.589 -2.905 -2.350
-2.863 -0.341 -2.350
-3.727 -3.246 0.000
0.000 0.000 -4.700
-3.727 -3.246 -4.700
0.000 0.000 0.000
-1.336 -2.177 -4.159
-5.063 -1.069 -0.542
-6.118 -4.315 -8.859
-2.391 -5.424 -5.242
-6.118 -4.315 -5.242
-2.391 -5.424 -8.859
-1.336 -2.177 -0.542
-5.063 -1.069 -4.159
-3.421 -2.327 -7.051
-7.148 -0.919 -7.051
-4.033 -4.166 -2.350
-0.306 -5.573 -2.350
```

As for the density: 7.69 g/cm³. The calculation puts the magnetic moment at 6.00 μB per formula unit. As for the final energy: -28.861 eV/atom. For the formation energy from the elements, the calculation gives -1.271 eV/atom.

This record from the Materials Project describes a relaxed structure of TeRhCl. The functional is meta-GGA r2SCAN.

```
TeRhCl
1.0
-1.277 2.052 2.778
-2.662 -5.438 2.792
7.008 0.589 0.346
Te Rh Cl
2 2 2
Cartesian
2.548 -0.685 4.117
0.521 -2.113 1.800
2.542 -0.533 1.562
0.527 -2.265 4.355
4.542 1.000 1.350
-1.473 -3.797 4.567
```

As for the density: 5.97 g/cm³. The calculation puts the magnetic moment at 0.00 μB per formula unit. As for the final energy: -19.221 eV/atom. For the formation energy from the elements, the calculation gives -0.652 eV/atom.

This record from the Materials Project describes a relaxed structure of Mg2NiH4. The functional is meta-GGA r2SCAN.

```
Mg2NiH4
1.0
3.172 7.112 -0.008
-3.172 7.112 -0.008
0.000 2.549 5.892
Mg Ni H
8 4 16
Cartesian
-0.076 3.561 0.470
-0.076 11.937 2.460
0.076 13.211 5.406
0.076 4.836 3.416
-3.025 7.749 1.465
3.025 9.024 4.411
0.162 7.749 1.465
-0.162 9.024 4.411
-1.711 5.615 0.477
-1.711 9.883 2.454
1.711 11.157 5.400
1.711 6.890 3.423
-1.222 4.927 1.782
-1.222 10.571 1.149
1.222 11.846 4.095
1.222 6.201 4.728
-1.170 7.376 5.166
-1.170 10.671 3.656
1.170 9.397 0.711
1.170 6.102 2.220
-1.332 7.100 0.302
-1.332 8.399 2.629
1.332 9.673 5.575
1.332 8.374 3.248
-0.069 12.655 0.444
-0.069 2.843 2.487
0.069 4.117 5.433
0.069 13.930 3.390
```

As for the density: 2.78 g/cm³. The calculation puts the magnetic moment at 0.00 μB per formula unit. As for the final energy: -5.172 eV/atom. For the formation energy from the elements, the calculation gives -0.295 eV/atom.